Run A
Sm5Co19: optimized geometry, PBE.

Lattice parameters (Å, degrees): 4.9736 4.9736 16.3649 81.26 81.26 60.00
With the nearest neighbours (Å) after each atom.
Sites, in units of the cell vectors:
Co 0.3785 0.3785 0.3674  7 Co 2.41-2.57
Co 0.6666 0.6666 0.0001  6 Co 2.44
Co 0.4156 0.4156 0.7533  6 Co 2.41-2.46
Co 0.6215 0.6215 0.6326  7 Co 2.41-2.57
Co 0.8756 0.3785 0.3674  7 Co 2.41-2.57
Sm 0.9206 0.9206 0.2383  12 Co 2.87-3.11
Co 0.5404 0.0417 0.8775  8 Co 2.44-2.49
Co 0.5404 0.5404 0.8775  8 Co 2.44-2.49
Co 0.3785 0.8756 0.3674  7 Co 2.41-2.57
Co 0.4596 0.9583 0.1225  8 Co 2.44-2.49
Sm 0.0000 0.0000 0.0000  18 Co 2.87-3.17
Sm 0.8472 0.8472 0.4583  12 Co 2.89-3.16, 3 Sm 3.17
Co 0.5844 0.5844 0.2467  6 Co 2.41-2.46
Co 0.4596 0.4596 0.1225  8 Co 2.44-2.49
Co 0.0417 0.5404 0.8775  8 Co 2.44-2.49
Co 0.7489 0.7489 0.7534  6 Co 2.42-2.46
Sm 0.1528 0.1528 0.5417  12 Co 2.89-3.16, 3 Sm 3.17
Co 0.6215 0.1244 0.6326  7 Co 2.41-2.57
Sm 0.0794 0.0794 0.7617  12 Co 2.87-3.11
Co 0.9583 0.4596 0.1225  8 Co 2.44-2.49
Co 0.1244 0.6215 0.6326  7 Co 2.41-2.57
Co 0.2511 0.2511 0.2466  6 Co 2.42-2.46
Co 0.3334 0.3334 0.9999  6 Co 2.44
Co 0.5000 0.5000 0.5000  6 Co 2.57

Output
mass density: 9.00 g/cm³


Run B
Sm5Co19: optimized geometry, PBE.

Lattice parameters (Å, degrees): 4.9902 4.9902 31.9110 90.00 90.00 120.00
With the nearest neighbours (Å) after each atom.
Sites, in units of the cell vectors:
Co 0.6687 0.8343 0.4342  7 Co 2.41-2.54
Co 0.1657 0.3313 0.4342  7 Co 2.41-2.54
Sm 0.3333 0.6667 0.5207  12 Co 2.88-3.12, 3 Sm 3.17
Sm 0.3333 0.6667 0.6306  12 Co 2.88-3.10
Co 0.3313 0.1657 0.9342  7 Co 2.41-2.54
Sm 0.3333 0.6667 0.9793  12 Co 2.88-3.12, 3 Sm 3.17
Co 0.8335 0.1665 0.8116  8 Co 2.44-2.50
Co 0.3313 0.1657 0.5658  7 Co 2.41-2.54
Co 0.0000 0.0000 0.6265  6 Co 2.41-2.44
Co 0.8343 0.6687 0.9342  7 Co 2.41-2.54
Co 0.0000 0.0000 0.5000  6 Co 2.54
Co 0.1665 0.8335 0.1884  8 Co 2.44-2.50
Co 0.8335 0.1665 0.6884  8 Co 2.44-2.50
Co 0.3329 0.1665 0.8116  8 Co 2.44-2.50
Co 0.1657 0.8343 0.4342  7 Co 2.41-2.54
Sm 0.6667 0.3333 0.0207  12 Co 2.88-3.12, 3 Sm 3.17
Co 0.3333 0.6667 0.1263  6 Co 2.41-2.45
Co 0.0000 0.0000 0.0000  6 Co 2.54
Co 0.0000 0.0000 0.7500  6 Co 2.44
Sm 0.6667 0.3333 0.2500  18 Co 2.88-3.18
Co 0.6671 0.8335 0.3116  8 Co 2.44-2.50
Co 0.0000 0.0000 0.1265  6 Co 2.41-2.44
Co 0.3333 0.6667 0.2500  6 Co 2.44
Co 0.8335 0.6671 0.6884  8 Co 2.44-2.50
Sm 0.6667 0.3333 0.1306  12 Co 2.88-3.10
Co 0.8343 0.1657 0.5658  7 Co 2.41-2.54
Co 0.1665 0.3329 0.3116  8 Co 2.44-2.50
Co 0.0000 0.0000 0.3735  6 Co 2.41-2.44
Sm 0.6667 0.3333 0.3694  12 Co 2.88-3.10
Co 0.1665 0.3329 0.1884  8 Co 2.44-2.50
Co 0.6687 0.8343 0.0658  7 Co 2.41-2.54
Co 0.0000 0.0000 0.8735  6 Co 2.41-2.44
Co 0.1657 0.8343 0.0658  7 Co 2.41-2.54
Sm 0.3333 0.6667 0.8694  12 Co 2.88-3.10
Co 0.8343 0.6687 0.5658  7 Co 2.41-2.54
Co 0.6667 0.3333 0.7500  6 Co 2.44
Co 0.1665 0.8335 0.3116  8 Co 2.44-2.50
Co 0.6667 0.3333 0.6263  6 Co 2.41-2.45
Co 0.3329 0.1665 0.6884  8 Co 2.44-2.50
Sm 0.6667 0.3333 0.4793  12 Co 2.88-3.12, 3 Sm 3.17
Co 0.6671 0.8335 0.1884  8 Co 2.44-2.50
Sm 0.3333 0.6667 0.7500  18 Co 2.88-3.18
Co 0.1657 0.3313 0.0658  7 Co 2.41-2.54
Co 0.8335 0.6671 0.8116  8 Co 2.44-2.50
Co 0.6667 0.3333 0.8737  6 Co 2.41-2.45
Co 0.0000 0.0000 0.2500  6 Co 2.44
Co 0.3333 0.6667 0.3737  6 Co 2.41-2.45
Co 0.8343 0.1657 0.9342  7 Co 2.41-2.54

Output
mass density: 9.03 g/cm³


Which of them is most stable? Easy: run A.


Run A
Tb7Co6Sn23: optimized geometry, PBE.

Lattice parameters (Å, degrees): 9.7063 9.7063 9.9406 90.00 90.00 120.00
With the nearest neighbours (Å) after each atom.
Sites, in units of the cell vectors:
Tb 0.5210 0.0420 0.6940  10 Sn 3.09-3.40, 2 Co 3.17
Sn 0.2189 0.7811 0.5462  1 Co 2.68
Tb 0.0000 0.0000 0.0000  12 Sn 3.37-3.38, 6 Co 3.44
Sn 0.4378 0.2189 0.4538  1 Co 2.68
Sn 0.8823 0.7645 0.7243  2 Co 2.62
Tb 0.5210 0.4790 0.6940  10 Sn 3.09-3.40, 2 Co 3.17
Sn 0.3333 0.6667 0.8188  3 Co 2.79, 1 Sn 2.95
Co 0.6648 0.8324 0.8020  6 Sn 2.59-2.79
Tb 0.4790 0.5210 0.3060  10 Sn 3.09-3.40, 2 Co 3.17
Tb 0.4790 0.9580 0.3060  10 Sn 3.09-3.40, 2 Co 3.17
Sn 0.2355 0.1177 0.7243  2 Co 2.62
Co 0.3352 0.1676 0.1980  6 Sn 2.59-2.79
Sn 0.1177 0.2355 0.2757  2 Co 2.62
Sn 0.3333 0.6667 0.1156  1 Sn 2.95, 3 Tb 3.09
Sn 0.8823 0.1177 0.7243  2 Co 2.62
Sn 0.7811 0.5622 0.4538  1 Co 2.68
Sn 0.1177 0.8823 0.2757  2 Co 2.62
Sn 0.6533 0.6533 0.0000  2 Co 2.59
Sn 0.7811 0.2189 0.4538  1 Co 2.68
Sn 0.6667 0.3333 0.8844  1 Sn 2.95, 3 Tb 3.09
Sn 0.0000 0.0000 0.5000  6 Sn 2.98
Sn 0.3467 0.3467 0.0000  2 Co 2.59
Sn 0.6667 0.3333 0.1812  3 Co 2.79, 1 Sn 2.95
Co 0.1676 0.3352 0.8020  6 Sn 2.59-2.79
Sn 0.7645 0.8823 0.2757  2 Co 2.62
Sn 0.3467 0.0000 0.0000  2 Co 2.59
Co 0.8324 0.6648 0.1980  6 Sn 2.59-2.79
Co 0.1676 0.8324 0.8020  6 Sn 2.59-2.79
Sn 0.6533 0.0000 0.0000  2 Co 2.59
Sn 0.5622 0.7811 0.5462  1 Co 2.68
Tb 0.0420 0.5210 0.3060  10 Sn 3.09-3.40, 2 Co 3.17
Tb 0.9580 0.4790 0.6940  10 Sn 3.09-3.40, 2 Co 3.17
Sn 0.2189 0.4378 0.5462  1 Co 2.68
Sn 0.0000 0.6533 0.0000  2 Co 2.59
Sn 0.0000 0.3467 0.0000  2 Co 2.59
Co 0.8324 0.1676 0.1980  6 Sn 2.59-2.79

Output
mass density: 8.59 g/cm³


Run B
Tb7Co6Sn23: optimized geometry, PBE.

Lattice parameters (Å, degrees): 10.1169 10.1169 10.9347 90.00 90.00 120.00
With the nearest neighbours (Å) after each atom.
Sites, in units of the cell vectors:
Sn 0.6667 0.3333 0.2014  4 Sn 3.23-3.37, 3 Tb 3.48
Tb 0.4760 0.9520 0.2909  2 Co 2.92, 1 Sn 3.21
Sn 0.8834 0.1166 0.6780  1 Co 2.33
Co 0.8060 0.1940 0.8512  4 Sn 2.33-2.48
Co 0.3880 0.1940 0.8512  4 Sn 2.33-2.48
Sn 0.5433 0.7716 0.5558  4 Sn 3.19-3.23, 2 Tb 3.35
Sn 0.7716 0.5433 0.4442  4 Sn 3.19-3.23, 2 Tb 3.35
Sn 0.6515 0.0000 0.0000  2 Co 2.42
Co 0.8060 0.6120 0.8512  4 Sn 2.33-2.48
Sn 0.8834 0.7668 0.6780  1 Co 2.33
Sn 0.2284 0.7716 0.5558  4 Sn 3.19-3.23, 2 Tb 3.35
Sn 0.1166 0.8834 0.3220  1 Co 2.33
Sn 0.0000 0.6515 0.0000  2 Co 2.42
Co 0.1940 0.3880 0.1488  4 Sn 2.33-2.48
Sn 0.2332 0.1166 0.6780  1 Co 2.33
Sn 0.7716 0.2284 0.4442  4 Sn 3.19-3.23, 2 Tb 3.35
Sn 0.2284 0.4567 0.5558  4 Sn 3.19-3.23, 2 Tb 3.35
Sn 0.6515 0.6515 0.0000  2 Co 2.42
Sn 0.3485 0.0000 0.0000  2 Co 2.42
Sn 0.4567 0.2284 0.4442  4 Sn 3.19-3.23, 2 Tb 3.35
Tb 0.9520 0.4760 0.7091  2 Co 2.92, 1 Sn 3.21
Tb 0.5240 0.0480 0.7091  2 Co 2.92, 1 Sn 3.21
Tb 0.5240 0.4760 0.7091  2 Co 2.92, 1 Sn 3.21
Sn 0.3333 0.6667 0.1070  3 Co 2.48
Co 0.1940 0.8060 0.1488  4 Sn 2.33-2.48
Sn 0.3333 0.6667 0.7986  4 Sn 3.23-3.37, 3 Tb 3.48
Tb 0.4760 0.5240 0.2909  2 Co 2.92, 1 Sn 3.21
Tb 0.0480 0.5240 0.2909  2 Co 2.92, 1 Sn 3.21
Tb 0.0000 0.0000 0.0000  6 Sn 3.53, 6 Co 3.77
Sn 0.1166 0.2332 0.3220  1 Co 2.33
Sn 0.0000 0.0000 0.5000  6 Sn 2.82
Sn 0.3485 0.3485 0.0000  2 Co 2.42
Sn 0.6667 0.3333 0.8930  3 Co 2.48
Sn 0.7668 0.8834 0.3220  1 Co 2.33
Sn 0.0000 0.3485 0.0000  2 Co 2.42
Co 0.6120 0.8060 0.1488  4 Sn 2.33-2.48

Output
mass density: 7.19 g/cm³


Run C
Tb7Co6Sn23: optimized geometry, PBE.

Lattice parameters (Å, degrees): 10.3642 10.3642 10.4636 89.99 89.99 60.09
With the nearest neighbours (Å) after each atom.
Sites, in units of the cell vectors:
Sn 0.7694 0.7694 0.4535  4 Sn 3.13-3.21, 4 Tb 3.39-3.40
Sn 0.4592 0.7699 0.4504  4 Sn 3.14-3.22, 4 Tb 3.39-3.41
Sn 0.6676 0.6676 0.2072  4 Sn 2.99-3.16
Sn 0.0000 0.0000 0.5000  6 Sn 2.81
Sn 0.3349 0.3349 0.0786  3 Co 2.50
Tb 0.4719 0.4719 0.3033  2 Co 2.95
Tb 0.0000 0.0000 0.0000  12 Sn 3.61-3.96, 6 Co 3.91-3.97
Sn 0.3475 0.0014 0.0015  2 Co 2.43-2.44
Sn 0.2306 0.2306 0.5465  4 Sn 3.13-3.21, 4 Tb 3.39-3.40
Sn 0.0014 0.3475 0.0015  2 Co 2.43-2.44
Co 0.6011 0.1975 0.1488  4 Sn 2.34-2.50
Tb 0.9455 0.5256 0.6956  2 Co 2.92
Tb 0.4744 0.0545 0.3044  2 Co 2.92
Tb 0.5281 0.5281 0.6967  2 Co 2.95
Sn 0.2301 0.5408 0.5496  4 Sn 3.14-3.22, 4 Tb 3.39-3.41
Sn 0.8815 0.2330 0.6790  1 Co 2.34
Co 0.7975 0.7975 0.8481  4 Sn 2.35-2.50
Co 0.8025 0.3989 0.8512  4 Sn 2.34-2.50
Sn 0.5408 0.2301 0.5496  4 Sn 3.14-3.22, 4 Tb 3.39-3.41
Sn 0.1185 0.7670 0.3210  1 Co 2.34
Sn 0.6525 0.9986 0.9985  2 Co 2.43-2.44
Sn 0.2330 0.8815 0.6790  1 Co 2.34
Co 0.3989 0.8025 0.8512  4 Sn 2.34-2.50
Co 0.1975 0.6011 0.1488  4 Sn 2.34-2.50
Sn 0.3324 0.3324 0.7928  4 Sn 2.99-3.16
Sn 0.1163 0.1163 0.3204  1 Co 2.35
Sn 0.7670 0.1185 0.3210  1 Co 2.34
Sn 0.9986 0.6525 0.9985  2 Co 2.43-2.44
Sn 0.6508 0.3492 0.0000  2 Co 2.44
Tb 0.5256 0.9455 0.6956  2 Co 2.92
Sn 0.8837 0.8837 0.6796  1 Co 2.35
Co 0.2025 0.2025 0.1519  4 Sn 2.35-2.50
Sn 0.6651 0.6651 0.9214  3 Co 2.50
Sn 0.7699 0.4592 0.4504  4 Sn 3.14-3.22, 4 Tb 3.39-3.41
Tb 0.0545 0.4744 0.3044  2 Co 2.92
Sn 0.3492 0.6508 0.0000  2 Co 2.44

Output
mass density: 7.15 g/cm³


Which of them is most stable? Easy: run A.


Run A
Y7Co6Sn23: optimized geometry, PBE.

Lattice parameters (Å, degrees): 10.1057 10.1057 10.9285 90.00 90.00 120.00
With the nearest neighbours (Å) after each atom.
Sites, in units of the cell vectors:
Y 0.5243 0.4757 0.7089  2 Co 2.91, 1 Sn 3.20
Co 0.8056 0.1944 0.8514  4 Sn 2.33-2.47
Sn 0.3333 0.6667 0.1069  3 Co 2.47
Sn 0.0000 0.0000 0.5000  6 Sn 2.82
Sn 0.3485 0.0000 0.0000  2 Co 2.42
Co 0.6112 0.8056 0.1486  4 Sn 2.33-2.47
Sn 0.5436 0.7718 0.5549  4 Sn 3.19-3.26, 2 Y 3.35
Sn 0.2287 0.1143 0.6815  1 Co 2.33
Y 0.5243 0.0486 0.7089  2 Co 2.91, 1 Sn 3.20
Sn 0.3333 0.6667 0.7961  4 Sn 3.21-3.40, 3 Y 3.48
Sn 0.4564 0.2282 0.4451  4 Sn 3.19-3.26, 2 Y 3.35
Co 0.1944 0.8056 0.1486  4 Sn 2.33-2.47
Sn 0.1143 0.8857 0.3185  1 Co 2.33
Sn 0.3485 0.3485 0.0000  2 Co 2.42
Sn 0.6667 0.3333 0.2039  4 Sn 3.21-3.40, 3 Y 3.48
Sn 0.8857 0.1143 0.6815  1 Co 2.33
Sn 0.7713 0.8857 0.3185  1 Co 2.33
Sn 0.6515 0.0000 0.0000  2 Co 2.42
Sn 0.0000 0.3485 0.0000  2 Co 2.42
Y 0.0000 0.0000 0.0000  6 Sn 3.52, 6 Co 3.77
Sn 0.6515 0.6515 0.0000  2 Co 2.42
Co 0.8056 0.6112 0.8514  4 Sn 2.33-2.47
Sn 0.7718 0.2282 0.4451  4 Sn 3.19-3.26, 2 Y 3.35
Sn 0.6667 0.3333 0.8931  3 Co 2.47
Sn 0.2282 0.4564 0.5549  4 Sn 3.19-3.26, 2 Y 3.35
Y 0.4757 0.5243 0.2911  2 Co 2.91, 1 Sn 3.20
Y 0.4757 0.9514 0.2911  2 Co 2.91, 1 Sn 3.20
Y 0.0486 0.5243 0.2911  2 Co 2.91, 1 Sn 3.20
Co 0.1944 0.3888 0.1486  4 Sn 2.33-2.47
Sn 0.0000 0.6515 0.0000  2 Co 2.42
Sn 0.8857 0.7713 0.6815  1 Co 2.33
Sn 0.2282 0.7718 0.5549  4 Sn 3.19-3.26, 2 Y 3.35
Y 0.9514 0.4757 0.7089  2 Co 2.91, 1 Sn 3.20
Sn 0.1143 0.2287 0.3185  1 Co 2.33
Sn 0.7718 0.5436 0.4451  4 Sn 3.19-3.26, 2 Y 3.35
Co 0.3888 0.1944 0.8514  4 Sn 2.33-2.47

Output
mass density: 6.37 g/cm³


Run B
Y7Co6Sn23: optimized geometry, PBE.

Lattice parameters (Å, degrees): 9.7209 9.7209 9.9770 90.00 90.00 120.00
With the nearest neighbours (Å) after each atom.
Sites, in units of the cell vectors:
Y 0.5219 0.0437 0.6940  10 Sn 3.09-3.42, 2 Co 3.19
Y 0.0000 0.0000 0.0000  12 Sn 3.36-3.38, 6 Co 3.44
Sn 0.0000 0.3457 0.0000  2 Co 2.59
Sn 0.3333 0.6667 0.8173  3 Co 2.80, 1 Sn 2.97
Co 0.3349 0.1674 0.1972  6 Sn 2.59-2.80
Sn 0.7650 0.8825 0.2745  2 Co 2.62
Co 0.1674 0.8326 0.8028  6 Sn 2.59-2.80
Sn 0.3333 0.6667 0.1154  1 Sn 2.97, 3 Y 3.09
Sn 0.2189 0.7811 0.5483  1 Co 2.68
Sn 0.2350 0.1175 0.7255  2 Co 2.62
Sn 0.1175 0.2350 0.2745  2 Co 2.62
Sn 0.3457 0.3457 0.0000  2 Co 2.59
Co 0.8326 0.6651 0.1972  6 Sn 2.59-2.80
Sn 0.6667 0.3333 0.1827  3 Co 2.80, 1 Sn 2.97
Co 0.8326 0.1674 0.1972  6 Sn 2.59-2.80
Sn 0.7811 0.2189 0.4517  1 Co 2.68
Sn 0.6543 0.0000 0.0000  2 Co 2.59
Sn 0.2189 0.4378 0.5483  1 Co 2.68
Y 0.9563 0.4781 0.6940  10 Sn 3.09-3.42, 2 Co 3.19
Sn 0.5622 0.7811 0.5483  1 Co 2.68
Y 0.5219 0.4781 0.6940  10 Sn 3.09-3.42, 2 Co 3.19
Y 0.4781 0.5219 0.3060  10 Sn 3.09-3.42, 2 Co 3.19
Sn 0.7811 0.5622 0.4517  1 Co 2.68
Y 0.0437 0.5219 0.3060  10 Sn 3.09-3.42, 2 Co 3.19
Y 0.4781 0.9563 0.3060  10 Sn 3.09-3.42, 2 Co 3.19
Sn 0.8825 0.1175 0.7255  2 Co 2.62
Sn 0.1175 0.8825 0.2745  2 Co 2.62
Co 0.1674 0.3349 0.8028  6 Sn 2.59-2.80
Sn 0.3457 0.0000 0.0000  2 Co 2.59
Co 0.6651 0.8326 0.8028  6 Sn 2.59-2.80
Sn 0.6667 0.3333 0.8846  1 Sn 2.97, 3 Y 3.09
Sn 0.8825 0.7650 0.7255  2 Co 2.62
Sn 0.0000 0.6543 0.0000  2 Co 2.59
Sn 0.6543 0.6543 0.0000  2 Co 2.59
Sn 0.4378 0.2189 0.4517  1 Co 2.68
Sn 0.0000 0.0000 0.5000  6 Sn 3.00

Output
mass density: 7.54 g/cm³


Which of them is most stable? Easy: run B.


Run A
Cr: optimized geometry, PBE.

Lattice parameters (Å, degrees): 2.4906 2.4906 4.4496 90.00 90.00 120.00
With the nearest neighbours (Å) after each atom.
Sites, in units of the cell vectors:
Cr 0.3333 0.6667 0.7500  12 Cr 2.49-2.65
Cr 0.6667 0.3333 0.2500  12 Cr 2.49-2.65

Output
mass density: 7.22 g/cm³


Run B
Cr: optimized geometry, PBE.

Lattice parameters (Å, degrees): 4.5564 8.5995 8.5995 90.00 90.00 90.00
With the nearest neighbours (Å) after each atom.
Sites, in units of the cell vectors:
Cr 0.7458 0.8128 0.8128  4 Cr 2.24-2.43
Cr 0.5000 0.1029 0.8971  7 Cr 2.40-2.62
Cr 0.2458 0.6872 0.3128  4 Cr 2.24-2.43
Cr 0.0000 0.9450 0.2443  9 Cr 2.30-2.57
Cr 0.2542 0.1872 0.1872  4 Cr 2.24-2.43
Cr 0.5000 0.8971 0.1029  7 Cr 2.40-2.62
Cr 0.2542 0.8128 0.8128  4 Cr 2.24-2.43
Cr 0.7542 0.3128 0.6872  4 Cr 2.24-2.43
Cr 0.0000 0.0550 0.7557  9 Cr 2.30-2.57
Cr 0.5000 0.3738 0.9654  3 Cr 2.25-2.46
Cr 0.0000 0.6029 0.6029  7 Cr 2.40-2.62
Cr 0.0000 0.8738 0.5346  3 Cr 2.25-2.46
Cr 0.0000 0.4654 0.1262  3 Cr 2.25-2.46
Cr 0.7458 0.1872 0.1872  4 Cr 2.24-2.43
Cr 0.5000 0.6262 0.0346  3 Cr 2.25-2.46
Cr 0.0000 0.2443 0.9450  9 Cr 2.30-2.57
Cr 0.5000 0.5550 0.7443  9 Cr 2.30-2.57
Cr 0.0000 0.7557 0.0550  9 Cr 2.30-2.57
Cr 0.0000 0.3971 0.3971  7 Cr 2.40-2.62
Cr 0.7542 0.6872 0.3128  4 Cr 2.24-2.43
Cr 0.2458 0.3128 0.6872  4 Cr 2.24-2.43
Cr 0.5000 0.4450 0.2557  9 Cr 2.30-2.57
Cr 0.5000 0.9654 0.3738  3 Cr 2.25-2.46
Cr 0.5000 0.0346 0.6262  3 Cr 2.25-2.46
Cr 0.5000 0.7443 0.5550  9 Cr 2.30-2.57
Cr 0.0000 0.5346 0.8738  3 Cr 2.25-2.46
Cr 0.0000 0.1262 0.4654  3 Cr 2.25-2.46
Cr 0.5000 0.2557 0.4450  9 Cr 2.30-2.57

Output
mass density: 7.17 g/cm³


Run C
Cr: optimized geometry, PBE.

Lattice parameters (Å, degrees): 2.5628 2.5628 2.5628 60.00 60.00 60.00
With the nearest neighbours (Å) after each atom.
Sites, in units of the cell vectors:
Cr 0.0000 0.0000 0.0000  12 Cr 2.56

Output
mass density: 7.25 g/cm³


Which of them is most stable? Easy: run B.


Run A
Cr: optimized geometry, PBE.

Lattice parameters (Å, degrees): 4.5465 4.5465 4.5465 90.00 90.00 90.00
With the nearest neighbours (Å) after each atom.
Sites, in units of the cell vectors:
Cr 0.5000 0.2500 0.0000  6 Cr 2.27-2.54
Cr 0.2500 0.0000 0.5000  6 Cr 2.27-2.54
Cr 0.5000 0.5000 0.5000  12 Cr 2.54
Cr 0.0000 0.5000 0.7500  6 Cr 2.27-2.54
Cr 0.5000 0.7500 0.0000  6 Cr 2.27-2.54
Cr 0.7500 0.0000 0.5000  6 Cr 2.27-2.54
Cr 0.0000 0.0000 0.0000  12 Cr 2.54
Cr 0.0000 0.5000 0.2500  6 Cr 2.27-2.54

Output
mass density: 7.35 g/cm³


Run B
Cr: optimized geometry, PBE.

Lattice parameters (Å, degrees): 2.8740 2.8740 2.8740 90.01 89.99 89.99
With the nearest neighbours (Å) after each atom.
Sites, in units of the cell vectors:
Cr 0.5000 0.5000 0.5000  8 Cr 2.49
Cr 0.0000 0.0000 0.0000  8 Cr 2.49

Output
mass density: 7.27 g/cm³


Which of them is most stable? Easy: run B.